[1]
Entry from the Materials Project: a relaxed structure of Mn2PO5 (PBE with a Hubbard U).

Output
The total energy after the MP2020 corrections comes out at -270.80 eV for the cell shown. The calculation puts the energy relative to the lowest polymorph listed for this composition at 11 meV per atom. Its crystal system is triclinic. The value obtained for the calculated formation energy is -19.22 eV per formula unit.

a = 6.1639 Å, b = 7.4650 Å, c = 8.5589 Å
α = 106.16°, β = 88.88°, γ = 99.80°
Closest atoms and distances in Å follow each position.
Fractional coordinates of all 32 atoms:
O (0.2416, 0.9884, 0.7068)  1 P 1.58
O (0.9121, 0.7792, 0.9264)  1 P 1.57
O (0.5892, 0.2114, 0.5434)  1 P 1.54
O (0.0879, 0.2208, 0.0736)  1 P 1.57
O (0.4998, 0.2142, 0.0566)  1 P 1.54
P (0.6991, 0.7863, 0.8322)  4 O 1.54-1.58
O (0.9967, 0.2080, 0.5386)  1 P 1.53
Mn (0.8622, 0.3934, 0.1245)  4 O 1.97-2.04
O (0.7584, 0.0116, 0.2932)  1 P 1.58
Mn (0.4636, 0.7990, 0.1976)  6 O 2.12-2.26
Mn (0.5364, 0.2010, 0.8024)  6 O 2.12-2.26
Mn (0.6779, 0.6322, 0.4418)  5 O 2.05-2.23
P (0.3009, 0.2137, 0.1678)  4 O 1.54-1.58
Mn (0.0279, 0.1665, 0.7936)  4 O 1.94-2.02
O (0.5002, 0.7858, 0.9434)  1 P 1.54
O (0.4108, 0.7886, 0.4566)  1 P 1.54
P (0.7930, 0.2016, 0.4357)  4 O 1.53-1.58
O (0.2766, 0.3715, 0.8041)  3 Mn 1.96-2.11
O (0.2510, 0.0226, 0.2180)  1 P 1.58
P (0.2070, 0.7984, 0.5643)  4 O 1.53-1.58
O (0.3495, 0.3811, 0.3225)  1 P 1.54
O (0.1484, 0.6408, 0.1116)  3 Mn 1.94-2.12
O (0.8516, 0.3592, 0.8884)  3 Mn 1.94-2.12
Mn (0.3221, 0.3678, 0.5582)  5 O 2.05-2.23
Mn (0.1378, 0.6066, 0.8755)  4 O 1.97-2.04
O (0.6505, 0.6189, 0.6775)  1 P 1.54
O (0.7234, 0.6285, 0.1959)  3 Mn 1.96-2.11
O (0.7490, 0.9774, 0.7820)  1 P 1.58
O (0.8245, 0.3689, 0.3554)  1 P 1.57
O (0.0033, 0.7920, 0.4614)  1 P 1.53
Mn (0.9721, 0.8335, 0.2064)  4 O 1.94-2.02
O (0.1755, 0.6311, 0.6446)  1 P 1.57

---

[2]
Entry from the Materials Project: a relaxed structure of MnV4O12 (PBE with a Hubbard U).

Output
The total energy after the MP2020 corrections comes out at -141.17 eV for the cell shown. The calculation puts the energy relative to the lowest polymorph listed for this composition at 13 meV per atom. Its crystal system is triclinic. The value obtained for the calculated formation energy is -36.29 eV per formula unit.

a = 5.3246 Å, b = 10.9195 Å, c = 9.6208 Å
α = 26.90°, β = 50.34°, γ = 55.23°
Closest atoms and distances in Å follow each position.
Fractional coordinates of all 17 atoms:
O (0.8756, 0.1743, 0.2417)  2 V 1.87-2.04, 1 Mn 2.00
Mn (0.3131, 0.0009, 0.2917)  6 O 1.86-2.00
O (0.3379, 0.2812, 0.1347)  1 V 1.88, 1 Mn 1.90
V (0.0273, 0.0223, 0.9632)  2 O 1.67-1.71
O (0.5756, 0.1880, 0.8767)  1 V 1.89, 1 Mn 1.91
O (0.1327, 0.3068, 0.7200)  1 V 1.67
O (0.7460, 0.3940, 0.3378)  1 V 1.65
O (0.3287, 0.8031, 0.1306)  1 V 1.71
V (0.4922, 0.9881, 0.5244)  3 O 1.70-1.87
V (0.4949, 0.5276, 0.4788)  2 O 1.66-1.79
O (0.6186, 0.6807, 0.8563)  1 V 1.72
O (0.7115, 0.8915, 0.3348)  1 Mn 1.86, 1 V 1.90
O (0.2369, 0.6628, 0.5658)  1 V 1.79, 1 Mn 1.93
V (0.9564, 0.4850, 0.0336)  1 O 1.65
O (0.8391, 0.6844, 0.2374)  1 V 1.66
O (0.1384, 0.8035, 0.7113)  1 V 1.85, 1 Mn 1.94
O (0.2343, 0.1057, 0.6205)  1 V 1.70

---

[3]
Entry from the Materials Project: a relaxed structure of Sr3MgV2O8 (PBE with a Hubbard U).

Output
The total energy after the MP2020 corrections comes out at -105.18 eV for the cell shown. The calculation puts the energy relative to the lowest polymorph listed for this composition at 0 meV per atom. Its crystal system is monoclinic. The value obtained for the calculated formation energy is -40.76 eV per formula unit.

a = 9.1822 Å, b = 7.1631 Å, c = 9.1822 Å
α = 38.11°, β = 36.68°, γ = 38.11°
Closest atoms and distances in Å follow each position.
Fractional coordinates of all 14 atoms:
Sr (0.3340, 0.9815, 0.3340)  2 O 2.36-2.54
O (0.2853, 0.4030, 0.2853)  1 V 1.76
O (0.1850, 0.9914, 0.1850)  1 V 1.85, 1 Mg 2.05
O (0.7147, 0.5970, 0.7147)  1 V 1.76
Mg (0.0000, 0.5000, 0.0000)  6 O 2.05-2.16
Sr (0.6660, 0.0185, 0.6660)  2 O 2.36-2.54
Sr (0.0000, 0.0000, 0.0000)  6 O 2.66-2.79
O (0.1950, 0.4194, 0.6833)  1 V 1.84
V (0.6612, 0.4701, 0.6612)  4 O 1.76-1.85
O (0.8050, 0.5806, 0.3167)  1 V 1.84
O (0.3167, 0.5806, 0.8050)  1 V 1.84
O (0.6833, 0.4194, 0.1950)  1 V 1.84
O (0.8150, 0.0086, 0.8150)  1 V 1.85, 1 Mg 2.05
V (0.3388, 0.5299, 0.3388)  4 O 1.76-1.85

---

[4]
Entry from the Materials Project: a relaxed structure of TiFeO4 (PBE with a Hubbard U).

Output
The total energy after the MP2020 corrections comes out at -201.18 eV for the cell shown. The calculation puts the energy relative to the lowest polymorph listed for this composition at 1 meV per atom. The value obtained for the calculated formation energy is -14.14 eV per formula unit.

a = 5.3917 Å, b = 9.4289 Å, c = 5.5217 Å
α = 91.44°, β = 90.00°, γ = 90.00°
Closest atoms and distances in Å follow each position.
Fractional coordinates of all 24 atoms:
O (0.9967, 0.1048, 0.6952)  2 Ti 1.94-1.98, 1 Fe 1.97
Fe (0.0002, 0.5009, 0.5001)  6 O 1.94-1.97
O (0.7498, 0.3527, 0.4409)  1 Ti 1.94, 2 Fe 1.96
O (0.2497, 0.3973, 0.3091)  1 Ti 1.94, 2 Fe 1.96
O (0.4967, 0.1452, 0.5549)  2 Ti 1.94-1.98, 1 Fe 1.97
O (0.2503, 0.1040, 0.1893)  2 Fe 1.94-1.95, 1 Ti 2.04
O (0.0030, 0.4003, 0.8092)  2 Ti 1.94-1.98, 1 Fe 1.97
Ti (0.7500, 0.2525, 0.7433)  6 O 1.94-2.04
O (0.2503, 0.6039, 0.6892)  2 Fe 1.94-1.95, 1 Ti 2.04
O (0.2497, 0.8973, 0.8091)  1 Ti 1.94, 2 Fe 1.96
Fe (0.5002, 0.7491, 0.7499)  6 O 1.94-1.97
Ti (0.2500, 0.4975, 0.0067)  6 O 1.94-2.04
O (0.7503, 0.1461, 0.0607)  2 Fe 1.94-1.95, 1 Ti 2.04
Fe (0.0002, 0.0009, 0.0000)  6 O 1.94-1.97
O (0.5030, 0.3498, 0.9408)  2 Ti 1.94-1.98, 1 Fe 1.97
O (0.7497, 0.8527, 0.9409)  1 Ti 1.94, 2 Fe 1.96
Fe (0.5002, 0.2491, 0.2499)  6 O 1.94-1.97
O (0.0030, 0.9003, 0.3093)  2 Ti 1.94-1.98, 1 Fe 1.97
Ti (0.7500, 0.7525, 0.2432)  6 O 1.94-2.04
O (0.4967, 0.6452, 0.0549)  2 Ti 1.94-1.98, 1 Fe 1.97
O (0.5030, 0.8497, 0.4408)  2 Ti 1.94-1.98, 1 Fe 1.97
O (0.7503, 0.6460, 0.5606)  2 Fe 1.94-1.95, 1 Ti 2.04
Ti (0.2501, 0.9975, 0.5068)  6 O 1.94-2.04
O (0.9967, 0.6048, 0.1951)  2 Ti 1.94-1.98, 1 Fe 1.97

---

[5]
Entry from the Materials Project: a relaxed structure of Li9Mn2Co5O16 (PBE with a Hubbard U).

Output
The total energy after the MP2020 corrections comes out at -207.73 eV for the cell shown. The calculation puts the energy relative to the lowest polymorph listed for this composition at 67 meV per atom. Its crystal system is monoclinic. The value obtained for the calculated formation energy is -57.51 eV per formula unit.

a = 5.1026 Å, b = 5.1026 Å, c = 20.7586 Å
α = 81.95°, β = 81.95°, γ = 32.81°
Closest atoms and distances in Å follow each position.
Fractional coordinates of all 32 atoms:
O (0.6050, 0.6050, 0.0353)  3 Mn 1.97-2.17, 2 Li 2.15
Li (0.7575, 0.7575, 0.4377)  6 O 2.07-2.23
Co (0.0002, 0.0002, 0.7481)  6 O 1.94-2.17
O (0.1192, 0.1192, 0.9020)  2 Co 1.99, 3 Li 2.10, 1 Mn 2.21
Li (0.2496, 0.2496, 0.5613)  6 O 2.10-2.14
O (0.3856, 0.3856, 0.9702)  2 Mn 1.98, 2 Li 2.16, 1 Co 2.17
O (0.1071, 0.1071, 0.4053)  3 Co 1.96-2.10
O (0.6081, 0.6081, 0.7790)  3 Co 1.95-2.07
O (0.8854, 0.8854, 0.5941)  3 Co 2.01-2.09, 3 Li 2.12-2.14
Mn (0.9985, 0.9985, 0.0010)  5 O 1.97-2.20
Co (0.5132, 0.5132, 0.3650)  5 O 1.80-1.96
O (0.1067, 0.1067, 0.1534)  2 Mn 1.93, 2 Li 2.06-2.12
O (0.6123, 0.6123, 0.5304)  3 Co 2.01-2.06, 3 Li 2.13-2.22
Li (0.9975, 0.9975, 0.2493)  6 O 2.04-2.16
O (0.3911, 0.3911, 0.7187)  3 Co 1.94-2.12
Li (0.2577, 0.2577, 0.3084)  5 O 2.03-2.20
Li (0.7521, 0.7521, 0.9329)  5 O 2.07-2.16
O (0.1218, 0.1218, 0.6544)  3 Co 2.00-2.13, 3 Li 2.06-2.14
O (0.8835, 0.8835, 0.8453)  3 Co 1.99-2.17, 3 Li 2.07-2.09
Li (0.7500, 0.7500, 0.6839)  6 O 2.06-2.24
O (0.3823, 0.3823, 0.2127)  1 Mn 1.83, 4 Li 2.02-2.04
Li (0.7484, 0.7484, 0.1945)  6 O 2.02-2.25
O (0.3810, 0.3810, 0.4716)  2 Co 1.96, 3 Li 2.07-2.10
Co (0.5047, 0.5047, 0.6235)  6 O 2.00-2.12
Co (0.9941, 0.9941, 0.4995)  6 O 1.96-2.10
Co (0.5021, 0.5021, 0.8728)  6 O 1.99-2.17
O (0.6249, 0.6249, 0.2879)  1 Co 1.80
Li (0.2542, 0.2542, 0.8135)  6 O 2.09-2.22
O (0.8807, 0.8807, 0.0997)  3 Mn 1.97-2.20, 3 Li 2.14-2.19
Li (0.2433, 0.2433, 0.0678)  6 O 2.06-2.28
Mn (0.4891, 0.4891, 0.1328)  5 O 1.83-1.97
O (0.8931, 0.8931, 0.3482)  2 Co 1.92, 1 Li 2.12

---

[6]
Entry from the Materials Project: a relaxed structure of Mn3Se3O10 (PBE with a Hubbard U).

Output
The total energy after the MP2020 corrections comes out at -227.15 eV for the cell shown. Its crystal system is monoclinic. The value obtained for the calculated formation energy is -26.12 eV per formula unit.

a = 8.7469 Å, b = 8.7469 Å, c = 9.9404 Å
α = 63.19°, β = 63.19°, γ = 45.76°
Closest atoms and distances in Å follow each position.
Fractional coordinates of all 32 atoms:
O (0.9416, 0.3329, 0.9191)  1 Se 1.74
O (0.7508, 0.7508, 0.6705)  1 Se 1.78
Mn (0.0000, 0.5000, 0.0000)  4 O 1.91-1.97
Mn (0.5000, 0.0000, 0.5000)  4 O 2.11-2.16
O (0.7838, 0.7838, 0.3482)  1 Se 1.73
Se (0.5313, 0.5313, 0.6673)  3 O 1.71-1.81
O (0.0508, 0.6489, 0.7858)  1 Se 1.72
O (0.5976, 0.1964, 0.4081)  1 Se 1.71
Se (0.8863, 0.8863, 0.1706)  3 O 1.73-1.74
O (0.4024, 0.8036, 0.5919)  1 Se 1.71
O (0.4830, 0.4830, 0.1403)  1 Se 1.81, 1 Mn 1.95
O (0.3511, 0.9492, 0.2142)  1 Se 1.72
O (0.2492, 0.2492, 0.3295)  1 Se 1.78
O (0.6671, 0.0584, 0.0809)  1 Se 1.74
O (0.6926, 0.6926, 0.0151)  3 Mn 1.91
Se (0.1137, 0.1137, 0.8294)  3 O 1.73-1.74
Mn (0.5000, 0.0000, 0.0000)  4 O 1.91-1.97
O (0.3329, 0.9416, 0.9191)  1 Se 1.74
O (0.0584, 0.6671, 0.0809)  1 Se 1.74
Se (0.1395, 0.1395, 0.3270)  3 O 1.72-1.78
Mn (0.6172, 0.6172, 0.9152)  4 O 1.91-2.10
O (0.5170, 0.5170, 0.8597)  1 Se 1.81, 1 Mn 1.95
O (0.3074, 0.3074, 0.9849)  3 Mn 1.91
Se (0.4687, 0.4687, 0.3327)  3 O 1.71-1.81
Se (0.8605, 0.8605, 0.6730)  3 O 1.72-1.78
O (0.6489, 0.0508, 0.7858)  1 Se 1.72
O (0.1964, 0.5976, 0.4081)  1 Se 1.71
Mn (0.3828, 0.3828, 0.0848)  4 O 1.91-2.10
O (0.9492, 0.3511, 0.2142)  1 Se 1.72
O (0.8036, 0.4024, 0.5919)  1 Se 1.71
O (0.2162, 0.2162, 0.6518)  1 Se 1.73
Mn (0.0000, 0.5000, 0.5000)  4 O 2.11-2.16

---

[7]
Entry from the Materials Project: a relaxed structure of Hg2MoO4 (PBE with a Hubbard U).

Output
The total energy after the MP2020 corrections comes out at -162.91 eV for the cell shown. The calculation puts the energy relative to the lowest polymorph listed for this composition at 0 meV per atom. Its crystal system is monoclinic. The value obtained for the calculated formation energy is -9.48 eV per formula unit.

a = 9.4383 Å, b = 5.2895 Å, c = 11.1971 Å
α = 80.71°, β = 90.00°, γ = 90.00°
Closest atoms and distances in Å follow each position.
Fractional coordinates of all 28 atoms:
Mo (0.5374, 0.0314, 0.7834)  4 O 1.77-1.84
O (0.5284, 0.8988, 0.6423)  1 Mo 1.83
Mo (0.4626, 0.9686, 0.2166)  4 O 1.77-1.84
Hg (0.7936, 0.5509, 0.5765)  1 O 2.18
O (0.4716, 0.1012, 0.3577)  1 Mo 1.83
O (0.4068, 0.2888, 0.7835)  1 Mo 1.84
O (0.0284, 0.1012, 0.8577)  1 Mo 1.83
O (0.2097, 0.8360, 0.7106)  1 Mo 1.78
O (0.2903, 0.8360, 0.2106)  1 Mo 1.78
O (0.9068, 0.7112, 0.7165)  1 Mo 1.84
Hg (0.1281, 0.6647, 0.0635)  1 O 2.20
Hg (0.7064, 0.5509, 0.0765)  1 O 2.18
Mo (0.0374, 0.9686, 0.7166)  4 O 1.77-1.84
O (0.9865, 0.7877, 0.4101)  1 Mo 1.77
Hg (0.6281, 0.3353, 0.4365)  1 O 2.20
O (0.0135, 0.2123, 0.5899)  1 Mo 1.77
O (0.5932, 0.7112, 0.2165)  1 Mo 1.84
O (0.5135, 0.7877, 0.9101)  1 Mo 1.77
O (0.0932, 0.2888, 0.2835)  1 Mo 1.84
Hg (0.3719, 0.6647, 0.5635)  1 O 2.20
O (0.7903, 0.1640, 0.2894)  1 Mo 1.78
O (0.7097, 0.1640, 0.7894)  1 Mo 1.78
Hg (0.8719, 0.3353, 0.9365)  1 O 2.20
Mo (0.9626, 0.0314, 0.2834)  4 O 1.77-1.84
Hg (0.2064, 0.4491, 0.4235)  1 O 2.18
Hg (0.2936, 0.4491, 0.9235)  1 O 2.18
O (0.9716, 0.8988, 0.1423)  1 Mo 1.83
O (0.4865, 0.2123, 0.0899)  1 Mo 1.77

---

[8]
Entry from the Materials Project: a relaxed structure of NaLi5Fe2P2C2O14 (PBE with a Hubbard U).

Output
The total energy after the MP2020 corrections comes out at -373.18 eV for the cell shown. The calculation puts the energy relative to the lowest polymorph listed for this composition at 11 meV per atom. Its crystal system is triclinic. The value obtained for the calculated formation energy is -60.23 eV per formula unit.

a = 5.0187 Å, b = 8.6238 Å, c = 13.0900 Å
α = 90.50°, β = 90.00°, γ = 92.54°
Closest atoms and distances in Å follow each position.
Fractional coordinates of all 52 atoms:
O (0.4849, 0.1388, 0.3754)  1 C 1.30
Li (0.7619, 0.2689, 0.7412)  4 O 2.10-2.21
Li (0.7710, 0.2697, 0.5104)  4 O 2.13-2.19
O (0.6712, 0.1048, 0.6256)  1 C 1.30
O (0.8103, 0.6756, 0.4713)  1 P 1.55
O (0.9634, 0.9120, 0.6227)  1 C 1.30
O (0.1957, 0.3032, 0.2161)  1 P 1.55
O (0.6023, 0.4220, 0.1235)  1 P 1.57
O (0.8146, 0.6781, 0.2838)  1 P 1.55
Li (0.2265, 0.7280, 0.2612)  4 O 2.11-2.19
O (0.3927, 0.5725, 0.8622)  1 P 1.56
O (0.8142, 0.4258, 0.8751)  1 P 1.55
P (0.7019, 0.5901, 0.8719)  4 O 1.55-1.57
O (0.5218, 0.8552, 0.6212)  1 C 1.30
Li (0.7708, 0.2655, 0.2440)  4 O 2.13-2.27
O (0.5396, 0.8522, 0.1326)  1 C 1.30
Li (0.2398, 0.7299, 0.7554)  4 O 2.05-2.16
Fe (0.2239, 0.3499, 0.3754)  6 O 2.09-2.29
Li (0.7517, 0.9157, 0.8684)  2 O 2.02-2.07
O (0.8169, 0.6893, 0.7811)  1 P 1.57
O (0.8064, 0.4149, 0.3746)  1 P 1.55
P (0.7083, 0.5825, 0.3758)  4 O 1.55-1.57
O (0.1859, 0.3159, 0.0300)  1 P 1.56
O (0.1816, 0.5724, 0.1335)  1 P 1.54
O (0.6061, 0.4214, 0.6268)  1 P 1.56
O (0.7777, 0.6904, 0.9677)  1 P 1.55
Fe (0.2120, 0.3468, 0.8743)  5 O 2.06-2.20
Li (0.2375, 0.7338, 0.4980)  5 O 2.15-2.36
Na (0.2476, 0.7457, 0.9991)  5 O 2.31-2.45
Li (0.7567, 0.2658, 0.0045)  5 O 2.14-2.37
O (0.1907, 0.3106, 0.7190)  1 P 1.56
Li (0.2513, 0.0922, 0.1296)  3 O 2.01-2.16
P (0.2904, 0.4079, 0.1259)  4 O 1.54-1.57
O (0.3950, 0.5755, 0.3750)  1 P 1.57
O (0.0414, 0.1150, 0.3741)  1 C 1.30
C (0.2699, 0.0494, 0.3753)  3 O 1.30
O (0.3390, 0.9014, 0.8594)  1 C 1.29
O (0.1911, 0.5756, 0.6262)  1 P 1.55
Li (0.2494, 0.0852, 0.6252)  2 O 2.02-2.12
O (0.0381, 0.0880, 0.8739)  1 C 1.30
O (0.9773, 0.9156, 0.1266)  1 C 1.30
C (0.7202, 0.9575, 0.6233)  3 O 1.30
Fe (0.7875, 0.6515, 0.6262)  5 O 2.04-2.25
O (0.4788, 0.1506, 0.8763)  1 C 1.31
C (0.7326, 0.9579, 0.1276)  3 O 1.30
Na (0.7544, 0.9138, 0.3774)  5 O 2.21-2.43
O (0.2805, 0.8991, 0.3765)  1 C 1.30
O (0.1907, 0.3108, 0.5333)  1 P 1.55
C (0.2835, 0.0458, 0.8697)  3 O 1.29-1.31
O (0.6745, 0.1036, 0.1244)  1 C 1.30
P (0.2944, 0.4092, 0.6264)  4 O 1.55-1.56
Fe (0.7741, 0.6473, 0.1260)  5 O 2.09-2.17